# 1
Below is an optimized crystal structure of Ca2Fe2Si3O12, with properties calculated at the PBE+U level.

Cell: 10.548 10.548 10.548 Å, 109.40 109.40 109.61°
Element x y z (fractional)
Ca: 0.375 0.746 0.871
Ca: 0.875 0.504 0.129
Ca: 0.754 0.125 0.129
Ca: 0.254 0.125 0.629
Ca: 0.496 0.625 0.371
Ca: 0.375 0.246 0.371
Ca: 0.875 0.004 0.629
Ca: 0.996 0.625 0.871
Fe: 0.125 0.375 0.750
Fe: 0.625 0.375 0.750
Fe: 0.125 0.375 0.250
Fe: 0.625 0.375 0.250
Fe: 0.625 0.875 0.750
Fe: 0.125 0.875 0.250
Fe: 0.125 0.875 0.750
Fe: 0.625 0.875 0.250
Si: 0.247 0.625 0.122
Si: 0.003 0.125 0.378
Si: 0.250 0.750 0.500
Si: 0.375 0.997 0.122
Si: 0.500 0.500 0.000
Si: 0.875 0.253 0.878
Si: 0.503 0.125 0.878
Si: 0.875 0.753 0.378
Si: 0.375 0.497 0.622
Si: 0.750 0.250 0.500
Si: 0.000 0.000 0.000
Si: 0.747 0.625 0.622
O: 0.931 0.682 0.669
O: 0.828 0.386 0.869
O: 0.632 0.488 0.953
O: 0.737 0.568 0.748
O: 0.209 0.578 0.942
O: 0.517 0.959 0.131
O: 0.541 0.983 0.869
O: 0.118 0.571 0.355
O: 0.636 0.267 0.058
O: 0.511 0.681 0.748
O: 0.738 0.284 0.355
O: 0.929 0.382 0.645
O: 0.818 0.569 0.331
O: 0.821 0.966 0.953
O: 0.239 0.487 0.669
O: 0.012 0.868 0.047
O: 0.932 0.763 0.252
O: 0.013 0.261 0.331
O: 0.819 0.989 0.252
O: 0.614 0.483 0.442
O: 0.922 0.291 0.058
O: 0.216 0.762 0.645
O: 0.534 0.679 0.047
O: 0.114 0.672 0.131
O: 0.319 0.068 0.831
O: 0.422 0.364 0.631
O: 0.618 0.262 0.547
O: 0.513 0.182 0.752
O: 0.041 0.172 0.558
O: 0.733 0.791 0.369
O: 0.709 0.767 0.631
O: 0.132 0.179 0.145
O: 0.136 0.078 0.369
O: 0.716 0.071 0.453
O: 0.034 0.988 0.855
O: 0.017 0.886 0.558
O: 0.328 0.459 0.442
O: 0.431 0.761 0.248
O: 0.237 0.489 0.169
O: 0.318 0.987 0.248
O: 0.238 0.882 0.453
O: 0.011 0.263 0.831
O: 0.429 0.784 0.547
O: 0.432 0.181 0.169
O: 0.321 0.368 0.855
O: 0.512 0.466 0.145
O: 0.739 0.069 0.752
O: 0.233 0.864 0.942

The total magnetization is 32.00 μB/cell. The calculation puts the electronic total energy at -7.09 eV per atom.

---

# 2
Below is an optimized crystal structure of LiFe4B4O12, with properties calculated at the PBE+U level.

Cell: 5.248 9.132 11.491 Å, 112.99 102.53 90.87°
Element x y z (fractional)
Li: 0.003 0.346 0.333
Li: 0.237 0.593 0.839
Fe: 0.975 0.973 0.622
Fe: 0.737 0.053 0.118
Fe: 0.531 0.537 0.374
Fe: 0.764 0.432 0.874
Fe: 0.236 0.561 0.129
Fe: 0.487 0.467 0.615
Fe: 0.011 0.015 0.367
Fe: 0.266 0.947 0.876
B: 0.980 0.306 0.625
B: 0.732 0.722 0.121
B: 0.515 0.187 0.374
B: 0.763 0.761 0.868
B: 0.473 0.813 0.630
B: 0.238 0.233 0.123
B: 0.034 0.687 0.375
B: 0.263 0.269 0.869
O: 0.005 0.226 0.153
O: 0.867 0.874 0.180
O: 0.869 0.591 0.065
O: 0.905 0.561 0.381
O: 0.965 0.843 0.430
O: 0.759 0.174 0.341
O: 0.751 0.340 0.670
O: 0.472 0.699 0.109
O: 0.380 0.382 0.160
O: 0.524 0.654 0.581
O: 0.634 0.929 0.630
O: 0.351 0.095 0.060
O: 0.628 0.893 0.913
O: 0.357 0.062 0.360
O: 0.433 0.344 0.422
O: 0.619 0.609 0.826
O: 0.521 0.281 0.871
O: 0.245 0.666 0.317
O: 0.246 0.849 0.678
O: 0.030 0.148 0.568
O: 0.155 0.431 0.647
O: 0.139 0.410 0.911
O: 0.116 0.121 0.825
O: 0.023 0.774 0.866

The total magnetization is 38.00 μB/cell. The calculation puts the electronic total energy at -7.21 eV per atom.

---

# 3
Below is an optimized crystal structure of Ba2FeO4, with properties calculated at the PBE+U level.

Cell: 6.235 7.750 10.341 Å, 90.00 94.28 90.00°
Element x y z (fractional)
Ba: 0.756 0.845 0.075
Ba: 0.744 0.345 0.425
Ba: 0.244 0.155 0.925
Ba: 0.256 0.655 0.575
Ba: 0.220 0.506 0.197
Ba: 0.280 0.006 0.303
Ba: 0.780 0.494 0.803
Ba: 0.720 0.994 0.697
Fe: 0.257 0.721 0.917
Fe: 0.243 0.221 0.583
Fe: 0.743 0.279 0.083
Fe: 0.757 0.779 0.417
O: 0.705 0.007 0.404
O: 0.795 0.507 0.096
O: 0.295 0.993 0.596
O: 0.205 0.493 0.904
O: 0.497 0.244 0.163
O: 0.003 0.744 0.337
O: 0.503 0.756 0.837
O: 0.997 0.256 0.663
O: 0.001 0.183 0.132
O: 0.499 0.683 0.368
O: 0.999 0.817 0.868
O: 0.501 0.317 0.632
O: 0.682 0.169 0.927
O: 0.818 0.669 0.573
O: 0.318 0.831 0.073
O: 0.182 0.331 0.427

The calculation puts the electronic total energy at -6.26 eV per atom.

---

# 4
Below is an optimized crystal structure of Li8CoNi9O20, with properties calculated at the PBE+U level.

Cell: 2.840 11.653 21.148 Å, 83.05 90.00 90.00°
Element x y z (fractional)
Li: 0.000 0.461 0.208
Li: 0.000 0.063 0.809
Li: 0.000 0.560 0.809
Li: 0.000 0.348 0.599
Li: 0.000 0.852 0.600
Li: 0.000 0.643 0.393
Li: 0.000 0.949 0.200
Li: 0.000 0.241 0.990
Li: 0.000 0.740 0.994
Li: 0.500 0.951 0.699
Li: 0.500 0.452 0.703
Li: 0.500 0.751 0.500
Li: 0.500 0.058 0.308
Li: 0.500 0.850 0.100
Li: 0.500 0.349 0.101
Li: 0.500 0.240 0.491
Co: 0.000 0.098 0.601
Co: 0.500 0.600 0.099
Ni: 0.000 0.797 0.804
Ni: 0.000 0.500 0.998
Ni: 0.000 0.299 0.801
Ni: 0.000 0.603 0.598
Ni: 0.000 0.897 0.400
Ni: 0.000 0.201 0.200
Ni: 0.000 0.003 0.998
Ni: 0.000 0.403 0.399
Ni: 0.000 0.699 0.201
Ni: 0.500 0.999 0.500
Ni: 0.500 0.297 0.301
Ni: 0.500 0.397 0.900
Ni: 0.500 0.702 0.700
Ni: 0.500 0.500 0.500
Ni: 0.500 0.803 0.299
Ni: 0.500 0.095 0.102
Ni: 0.500 0.900 0.901
Ni: 0.500 0.203 0.697
O: 0.000 0.615 0.498
O: 0.000 0.386 0.501
O: 0.000 0.882 0.499
O: 0.000 0.912 0.300
O: 0.000 0.977 0.101
O: 0.000 0.504 0.901
O: 0.000 0.006 0.900
O: 0.000 0.794 0.902
O: 0.000 0.085 0.693
O: 0.000 0.112 0.511
O: 0.000 0.405 0.301
O: 0.000 0.188 0.291
O: 0.000 0.697 0.299
O: 0.000 0.489 0.099
O: 0.000 0.712 0.099
O: 0.000 0.292 0.899
O: 0.000 0.322 0.698
O: 0.000 0.815 0.701
O: 0.000 0.588 0.698
O: 0.000 0.214 0.109
O: 0.500 0.381 0.991
O: 0.500 0.415 0.810
O: 0.500 0.490 0.592
O: 0.500 0.111 0.006
O: 0.500 0.891 0.991
O: 0.500 0.909 0.810
O: 0.500 0.689 0.796
O: 0.500 0.186 0.788
O: 0.500 0.987 0.600
O: 0.500 0.211 0.605
O: 0.500 0.005 0.402
O: 0.500 0.512 0.409
O: 0.500 0.295 0.398
O: 0.500 0.584 0.188
O: 0.500 0.615 0.011
O: 0.500 0.714 0.599
O: 0.500 0.786 0.391
O: 0.500 0.819 0.209
O: 0.500 0.310 0.199
O: 0.500 0.090 0.202

The total magnetization is 18.69 μB/cell. The calculation puts the electronic total energy at -4.94 eV per atom.

---

# 5
Below is an optimized crystal structure of Ba5Co4PtClO13, with properties calculated at the PBE+U level.

Cell: 5.813 5.813 25.297 Å, 90.00 90.00 120.09°
Element x y z (fractional)
Ba: 0.666 0.334 0.129
Ba: 0.333 0.667 0.869
Ba: 0.334 0.666 0.629
Ba: 0.667 0.333 0.369
Ba: 0.000 0.000 0.249
Ba: 0.000 0.000 0.749
Ba: 0.667 0.333 0.542
Ba: 0.334 0.666 0.463
Ba: 0.333 0.667 0.042
Ba: 0.666 0.334 0.963
Co: 0.668 0.332 0.678
Co: 0.333 0.667 0.322
Co: 0.332 0.668 0.178
Co: 0.667 0.333 0.822
Co: 0.002 0.998 0.105
Co: 0.998 0.002 0.605
Co: 0.003 0.997 0.503
Co: 0.997 0.003 0.003
Pt: 0.000 0.000 0.897
Pt: 0.000 0.000 0.397
Cl: 0.667 0.333 0.249
Cl: 0.333 0.667 0.749
O: 0.161 0.323 0.149
O: 0.677 0.839 0.149
O: 0.167 0.833 0.151
O: 0.834 0.680 0.847
O: 0.320 0.166 0.847
O: 0.840 0.160 0.847
O: 0.839 0.677 0.649
O: 0.323 0.161 0.649
O: 0.833 0.167 0.651
O: 0.166 0.320 0.347
O: 0.680 0.834 0.347
O: 0.160 0.840 0.347
O: 0.850 0.697 0.053
O: 0.303 0.150 0.053
O: 0.847 0.153 0.048
O: 0.157 0.310 0.949
O: 0.690 0.843 0.949
O: 0.150 0.850 0.951
O: 0.150 0.303 0.553
O: 0.697 0.850 0.553
O: 0.153 0.847 0.548
O: 0.843 0.690 0.449
O: 0.310 0.157 0.449
O: 0.850 0.150 0.451
O: 0.665 0.335 0.750
O: 0.335 0.665 0.250

The total magnetization is 22.01 μB/cell. The calculation puts the electronic total energy at -5.96 eV per atom.

---

# 6
Below is an optimized crystal structure of CaWO2, with properties calculated at the PBE+U level.

Cell: 7.392 7.392 7.392 Å, 129.87 129.87 73.62°
Element x y z (fractional)
Ca: 0.875 0.625 0.250
Ca: 0.375 0.625 0.750
Ca: 0.375 0.625 0.250
Ca: 0.375 0.125 0.750
W: 0.375 0.125 0.250
W: 0.875 0.125 0.750
W: 0.875 0.125 0.250
W: 0.875 0.625 0.750
O: 0.176 0.400 0.224
O: 0.176 0.952 0.776
O: 0.150 0.426 0.724
O: 0.574 0.850 0.276
O: 0.702 0.426 0.276
O: 0.574 0.298 0.724
O: 0.600 0.824 0.776
O: 0.048 0.824 0.224

The total magnetization is 12.00 μB/cell. The calculation puts the electronic total energy at -6.58 eV per atom.

---

# 7
Below is an optimized crystal structure of MgMo2Rh4O12, with properties calculated at the PBE+U level.

Cell: 4.751 4.782 9.390 Å, 90.00 90.00 89.46°
Element x y z (fractional)
Mg: 0.500 0.000 0.196
Mo: 0.000 0.000 0.982
Mo: 0.500 0.500 0.502
Rh: 0.500 0.500 0.827
Rh: 0.000 0.000 0.332
Rh: 0.500 0.500 0.160
Rh: 0.000 0.000 0.660
O: 0.686 0.702 0.659
O: 0.314 0.298 0.659
O: 0.670 0.719 0.330
O: 0.168 0.784 0.157
O: 0.832 0.216 0.157
O: 0.814 0.206 0.828
O: 0.319 0.273 0.998
O: 0.189 0.784 0.494
O: 0.811 0.216 0.494
O: 0.681 0.727 0.998
O: 0.330 0.281 0.330
O: 0.186 0.794 0.828

The total magnetization is 0.00 μB/cell. The calculation puts the electronic total energy at -6.66 eV per atom.

---

# 8
Below is an optimized crystal structure of MgCoSiO5, with properties calculated at the PBE+U level.

Cell: 5.351 5.351 6.728 Å, 75.46 75.46 107.29°
Element x y z (fractional)
Mg: 0.821 0.179 0.750
Mg: 0.179 0.821 0.250
Co: 0.500 0.500 0.500
Co: 0.500 0.500 0.000
Si: 0.171 0.829 0.750
Si: 0.829 0.171 0.250
O: 0.387 0.838 0.884
O: 0.162 0.613 0.616
O: 0.613 0.162 0.116
O: 0.838 0.387 0.384
O: 0.774 0.859 0.417
O: 0.141 0.226 0.083
O: 0.226 0.141 0.583
O: 0.859 0.774 0.917
O: 0.419 0.581 0.250
O: 0.581 0.419 0.750

The total magnetization is 5.99 μB/cell. The calculation puts the electronic total energy at -6.50 eV per atom.

---

# 9
Below is an optimized crystal structure of La2NiWO6, with properties calculated at the PBE+U level.

Cell: 5.674 5.674 5.674 Å, 60.00 60.00 60.00°
Element x y z (fractional)
La: 0.250 0.250 0.250
La: 0.750 0.750 0.750
Ni: 0.500 0.500 0.500
W: 0.000 0.000 0.000
O: 0.749 0.251 0.251
O: 0.251 0.749 0.749
O: 0.251 0.749 0.251
O: 0.749 0.251 0.749
O: 0.251 0.251 0.749
O: 0.749 0.749 0.251

The total magnetization is 0.00 μB/cell. The calculation puts the electronic total energy at -7.37 eV per atom.

---

Copy entry 5 word for word.
Below is an optimized crystal structure of Ba5Co4PtClO13, with properties calculated at the PBE+U level.

Cell: 5.813 5.813 25.297 Å, 90.00 90.00 120.09°
Element x y z (fractional)
Ba: 0.666 0.334 0.129
Ba: 0.333 0.667 0.869
Ba: 0.334 0.666 0.629
Ba: 0.667 0.333 0.369
Ba: 0.000 0.000 0.249
Ba: 0.000 0.000 0.749
Ba: 0.667 0.333 0.542
Ba: 0.334 0.666 0.463
Ba: 0.333 0.667 0.042
Ba: 0.666 0.334 0.963
Co: 0.668 0.332 0.678
Co: 0.333 0.667 0.322
Co: 0.332 0.668 0.178
Co: 0.667 0.333 0.822
Co: 0.002 0.998 0.105
Co: 0.998 0.002 0.605
Co: 0.003 0.997 0.503
Co: 0.997 0.003 0.003
Pt: 0.000 0.000 0.897
Pt: 0.000 0.000 0.397
Cl: 0.667 0.333 0.249
Cl: 0.333 0.667 0.749
O: 0.161 0.323 0.149
O: 0.677 0.839 0.149
O: 0.167 0.833 0.151
O: 0.834 0.680 0.847
O: 0.320 0.166 0.847
O: 0.840 0.160 0.847
O: 0.839 0.677 0.649
O: 0.323 0.161 0.649
O: 0.833 0.167 0.651
O: 0.166 0.320 0.347
O: 0.680 0.834 0.347
O: 0.160 0.840 0.347
O: 0.850 0.697 0.053
O: 0.303 0.150 0.053
O: 0.847 0.153 0.048
O: 0.157 0.310 0.949
O: 0.690 0.843 0.949
O: 0.150 0.850 0.951
O: 0.150 0.303 0.553
O: 0.697 0.850 0.553
O: 0.153 0.847 0.548
O: 0.843 0.690 0.449
O: 0.310 0.157 0.449
O: 0.850 0.150 0.451
O: 0.665 0.335 0.750
O: 0.335 0.665 0.250

The total magnetization is 22.01 μB/cell. The calculation puts the electronic total energy at -5.96 eV per atom.

---

> Look up the electronic total energy of the sixth one.

-6.58 eV per atom